14
Lattice="-6.434 1.092 -1.648 0.008 -6.662 0.958 -1.138 0.704 4.907" Properties=species:S:1:pos:R:3 comment="Ca3VN3 (PBE, relaxed)" formation_enthalpy_0k_ev_per_atom=-1.216 pbc="T T T"
N -4.509 -4.291 3.525
N -5.900 0.283 -0.090
N -5.534 -2.724 0.426
N -2.029 -2.142 3.791
N -3.055 -0.575 0.692
N -1.664 -5.149 4.308
V -2.794 -3.789 3.850
V -4.770 -1.078 0.367
Ca -4.125 -4.687 1.035
Ca -1.388 -2.315 1.329
Ca -0.976 -5.644 1.902
Ca -6.176 -2.551 2.889
Ca -6.588 0.778 2.315
Ca -3.439 -0.179 3.183